Entry 1:
{"formula": "Bi2Rh", "functional": "GGA-PBE", "state": "optimized geometry", "lattice_angstrom": [[7.021, 0.000, 0.000], [0.000, 6.926, 0.000], [-3.249, 0.000, 6.273]], "species": ["Bi", "Bi", "Bi", "Bi", "Bi", "Bi", "Bi", "Bi", "Rh", "Rh", "Rh", "Rh"], "frac_coords": [[0.146, 0.141, 0.369], [0.146, 0.359, 0.869], [0.346, 0.644, 0.668], [0.346, 0.856, 0.168], [0.654, 0.144, 0.832], [0.654, 0.356, 0.332], [0.854, 0.641, 0.131], [0.854, 0.859, 0.631], [0.271, 0.002, 0.784], [0.271, 0.498, 0.284], [0.729, 0.502, 0.716], [0.729, 0.998, 0.216]], "crystal_system": "monoclinic"}



Entry 2:
{"formula": "SrLiAl2B2O7", "functional": "GGA-PBE", "state": "optimized geometry", "lattice_angstrom": [[4.999, 0.000, 0.000], [-2.499, 4.331, 0.000], [-0.006, -2.880, 8.139]], "species": ["Sr", "Li", "Al", "Al", "B", "B", "O", "O", "O", "O", "O", "O", "O"], "frac_coords": [[0.000, 0.000, 0.000], [0.342, 0.684, 0.026], [0.442, 0.886, 0.329], [0.580, 0.162, 0.742], [0.256, 0.513, 0.769], [0.740, 0.481, 0.222], [0.050, 0.699, 0.214], [0.356, 0.331, 0.839], [0.508, 0.865, 0.839], [0.510, 0.022, 0.533], [0.516, 0.567, 0.214], [0.648, 0.165, 0.215], [0.974, 0.483, 0.839]], "de_polymorph_mev_per_atom": 114.8, "crystal_system": "triclinic", "magnetic_moment_mub_per_cell": 1.00, "energy_corrected_mp2020_ev_per_atom": -7.36}



Entry 3:
{"formula": "Na4LaScSiP2O12", "functional": "GGA-PBE", "state": "optimized geometry", "lattice_angstrom": [[9.479, 0.000, 0.000], [4.737, 8.220, 0.000], [0.024, 0.016, 22.763]], "species": ["Na", "Na", "Na", "Na", "Na", "Na", "Na", "Na", "Na", "Na", "Na", "Na", "Na", "Na", "Na", "Na", "Na", "Na", "Na", "Na", "Na", "Na", "Na", "Na", "La", "La", "La", "La", "La", "La", "Sc", "Sc", "Sc", "Sc", "Sc", "Sc", "Si", "Si", "Si", "Si", "Si", "Si", "P", "P", "P", "P", "P", "P", "P", "P", "P", "P", "P", "P", "O", "O", "O", "O", "O", "O", "O", "O", "O", "O", "O", "O", "O", "O", "O", "O", "O", "O", "O", "O", "O", "O", "O", "O", "O", "O", "O", "O", "O", "O", "O", "O", "O", "O", "O", "O", "O", "O", "O", "O", "O", "O", "O", "O", "O", "O", "O", "O", "O", "O", "O", "O", "O", "O", "O", "O", "O", "O", "O", "O", "O", "O", "O", "O", "O", "O", "O", "O", "O", "O", "O", "O"], "frac_coords": [[0.000, 0.000, 0.000], [0.003, 0.272, 0.487], [0.007, 0.635, 0.738], [0.024, 0.939, 0.314], [0.031, 0.306, 0.821], [0.295, 0.667, 0.814], [0.303, 0.298, 0.323], [0.315, 0.354, 0.646], [0.330, 0.608, 0.162], [0.334, 0.979, 0.906], [0.336, 0.979, 0.405], [0.357, 0.262, 0.990], [0.361, 0.638, 0.494], [0.616, 0.013, 0.486], [0.624, 0.662, 0.991], [0.651, 0.947, 0.827], [0.652, 0.310, 0.569], [0.662, 0.677, 0.319], [0.666, 0.297, 0.074], [0.695, 0.612, 0.643], [0.699, 0.979, 0.158], [0.960, 0.332, 0.157], [0.971, 0.957, 0.649], [0.992, 0.650, 0.245], [0.328, 0.973, 0.744], [0.653, 0.311, 0.719], [0.657, 0.303, 0.919], [0.658, 0.303, 0.417], [0.994, 0.642, 0.897], [0.994, 0.644, 0.092], [0.003, 0.636, 0.585], [0.327, 0.974, 0.061], [0.329, 0.972, 0.256], [0.329, 0.973, 0.552], [0.669, 0.294, 0.223], [0.997, 0.638, 0.388], [0.028, 0.984, 0.159], [0.286, 0.340, 0.487], [0.321, 0.672, 0.650], [0.341, 0.307, 0.821], [0.662, 0.995, 0.322], [0.671, 0.956, 0.992], [0.004, 0.316, 0.993], [0.006, 0.927, 0.488], [0.025, 0.283, 0.648], [0.311, 0.651, 0.992], [0.341, 0.259, 0.159], [0.354, 0.613, 0.319], [0.614, 0.672, 0.159], [0.640, 0.964, 0.648], [0.664, 0.622, 0.821], [0.700, 0.648, 0.488], [0.969, 0.308, 0.320], [0.977, 0.991, 0.820], [0.008, 0.820, 0.162], [0.016, 0.826, 0.433], [0.019, 0.396, 0.935], [0.106, 0.221, 0.709], [0.119, 0.997, 0.099], [0.136, 0.165, 0.599], [0.139, 0.975, 0.216], [0.145, 0.160, 0.313], [0.149, 0.971, 0.821], [0.157, 0.653, 0.645], [0.161, 0.472, 0.820], [0.163, 0.150, 0.997], [0.164, 0.941, 0.490], [0.178, 0.435, 0.428], [0.185, 0.621, 0.323], [0.186, 0.432, 0.160], [0.189, 0.451, 0.545], [0.216, 0.666, 0.935], [0.224, 0.620, 0.044], [0.302, 0.756, 0.714], [0.305, 0.156, 0.490], [0.312, 0.813, 0.998], [0.326, 0.142, 0.821], [0.327, 0.788, 0.312], [0.332, 0.165, 0.213], [0.333, 0.790, 0.599], [0.351, 0.163, 0.103], [0.437, 0.321, 0.763], [0.442, 0.294, 0.881], [0.452, 0.495, 0.268], [0.452, 0.549, 0.377], [0.469, 0.324, 0.489], [0.487, 0.492, 0.644], [0.488, 0.507, 0.991], [0.494, 0.964, 0.999], [0.496, 0.278, 0.162], [0.504, 0.968, 0.313], [0.507, 0.790, 0.821], [0.518, 0.761, 0.102], [0.518, 0.980, 0.599], [0.525, 0.777, 0.213], [0.526, 0.804, 0.490], [0.575, 0.949, 0.709], [0.621, 0.100, 0.383], [0.626, 0.502, 0.161], [0.647, 0.139, 0.994], [0.658, 0.118, 0.644], [0.660, 0.534, 0.878], [0.674, 0.518, 0.767], [0.682, 0.493, 0.488], [0.688, 0.102, 0.269], [0.749, 0.855, 0.931], [0.788, 0.660, 0.432], [0.790, 0.647, 0.159], [0.795, 0.859, 0.046], [0.800, 0.637, 0.543], [0.810, 0.809, 0.642], [0.816, 0.641, 0.819], [0.833, 0.817, 0.325], [0.843, 0.150, 0.162], [0.851, 0.327, 0.269], [0.854, 0.292, 0.993], [0.855, 0.102, 0.487], [0.858, 0.290, 0.644], [0.880, 0.084, 0.765], [0.889, 0.087, 0.876], [0.905, 0.276, 0.378], [0.976, 0.469, 0.323], [0.983, 0.428, 0.045], [0.988, 0.822, 0.819], [0.990, 0.841, 0.543], [0.998, 0.458, 0.642]], "crystal_system": "triclinic", "magnetic_moment_mub_per_cell": 0.00, "energy_corrected_mp2020_ev_per_atom": -7.41}



Entry 4:
{"formula": "K2SiO3", "functional": "GGA-PBE", "state": "optimized geometry", "lattice_angstrom": [[6.330, 0.000, 0.000], [0.000, 13.269, 0.000], [-4.907, 0.000, 15.178]], "species": ["K", "K", "K", "K", "K", "K", "K", "K", "K", "K", "K", "K", "K", "K", "K", "K", "K", "K", "K", "K", "K", "K", "K", "K", "Si", "Si", "Si", "Si", "Si", "Si", "Si", "Si", "Si", "Si", "Si", "Si", "O", "O", "O", "O", "O", "O", "O", "O", "O", "O", "O", "O", "O", "O", "O", "O", "O", "O", "O", "O", "O", "O", "O", "O", "O", "O", "O", "O", "O", "O", "O", "O", "O", "O", "O", "O"], "frac_coords": [[0.003, 0.099, 0.418], [0.003, 0.401, 0.918], [0.095, 0.131, 0.864], [0.095, 0.369, 0.364], [0.122, 0.683, 0.298], [0.122, 0.817, 0.798], [0.275, 0.583, 0.526], [0.275, 0.917, 0.026], [0.360, 0.512, 0.785], [0.360, 0.988, 0.285], [0.448, 0.666, 0.988], [0.448, 0.834, 0.488], [0.552, 0.166, 0.512], [0.552, 0.334, 0.012], [0.640, 0.012, 0.715], [0.640, 0.488, 0.215], [0.725, 0.083, 0.974], [0.725, 0.417, 0.474], [0.878, 0.183, 0.202], [0.878, 0.317, 0.702], [0.905, 0.631, 0.636], [0.905, 0.869, 0.136], [0.997, 0.599, 0.082], [0.997, 0.901, 0.582], [0.159, 0.135, 0.640], [0.159, 0.365, 0.140], [0.272, 0.143, 0.109], [0.272, 0.357, 0.609], [0.459, 0.237, 0.293], [0.459, 0.263, 0.793], [0.541, 0.737, 0.207], [0.541, 0.763, 0.707], [0.728, 0.643, 0.391], [0.728, 0.857, 0.891], [0.841, 0.635, 0.860], [0.841, 0.865, 0.360], [0.077, 0.602, 0.849], [0.077, 0.898, 0.349], [0.106, 0.052, 0.117], [0.106, 0.448, 0.617], [0.120, 0.250, 0.091], [0.120, 0.250, 0.591], [0.268, 0.060, 0.585], [0.268, 0.440, 0.085], [0.289, 0.742, 0.647], [0.289, 0.758, 0.147], [0.291, 0.188, 0.341], [0.291, 0.312, 0.841], [0.343, 0.155, 0.742], [0.343, 0.345, 0.242], [0.398, 0.128, 0.035], [0.398, 0.372, 0.535], [0.467, 0.162, 0.208], [0.467, 0.338, 0.708], [0.533, 0.662, 0.292], [0.533, 0.838, 0.792], [0.602, 0.628, 0.465], [0.602, 0.872, 0.965], [0.657, 0.655, 0.758], [0.657, 0.845, 0.258], [0.709, 0.688, 0.159], [0.709, 0.812, 0.659], [0.711, 0.242, 0.853], [0.711, 0.258, 0.353], [0.732, 0.560, 0.915], [0.732, 0.940, 0.415], [0.880, 0.750, 0.409], [0.880, 0.750, 0.909], [0.894, 0.552, 0.383], [0.894, 0.948, 0.883], [0.923, 0.102, 0.651], [0.923, 0.398, 0.151]], "crystal_system": "monoclinic", "energy_corrected_mp2020_ev_per_atom": -6.42}



Entry 5:
{"formula": "Na6Ca3SnP4S2O24", "functional": "GGA-PBE", "state": "optimized geometry", "lattice_angstrom": [[9.294, 0.000, 0.000], [4.642, 8.064, 0.000], [0.051, 0.087, 23.165]], "species": ["Na", "Na", "Na", "Na", "Na", "Na", "Na", "Na", "Na", "Na", "Na", "Na", "Na", "Na", "Na", "Na", "Na", "Na", "Ca", "Ca", "Ca", "Ca", "Ca", "Ca", "Ca", "Ca", "Ca", "Sn", "Sn", "Sn", "P", "P", "P", "P", "P", "P", "P", "P", "P", "P", "P", "P", "S", "S", "S", "S", "S", "S", "O", "O", "O", "O", "O", "O", "O", "O", "O", "O", "O", "O", "O", "O", "O", "O", "O", "O", "O", "O", "O", "O", "O", "O", "O", "O", "O", "O", "O", "O", "O", "O", "O", "O", "O", "O", "O", "O", "O", "O", "O", "O", "O", "O", "O", "O", "O", "O", "O", "O", "O", "O", "O", "O", "O", "O", "O", "O", "O", "O", "O", "O", "O", "O", "O", "O", "O", "O", "O", "O", "O", "O"], "frac_coords": [[0.000, 0.000, 0.000], [0.000, 0.372, 0.739], [0.026, 0.049, 0.329], [0.034, 0.664, 0.834], [0.273, 0.049, 0.830], [0.297, 0.392, 0.333], [0.318, 0.702, 0.419], [0.328, 0.048, 0.160], [0.328, 0.686, 0.921], [0.340, 0.010, 0.497], [0.633, 0.375, 0.497], [0.647, 0.661, 0.331], [0.657, 0.020, 0.576], [0.660, 0.389, 0.832], [0.668, 0.009, 0.078], [0.682, 0.347, 0.163], [0.958, 0.067, 0.657], [0.982, 0.370, 0.241], [0.318, 0.697, 0.560], [0.322, 0.697, 0.761], [0.325, 0.700, 0.060], [0.327, 0.708, 0.256], [0.646, 0.041, 0.726], [0.664, 0.029, 0.225], [0.988, 0.371, 0.899], [0.988, 0.382, 0.587], [0.989, 0.371, 0.402], [0.650, 0.043, 0.933], [0.654, 0.036, 0.428], [0.983, 0.377, 0.086], [0.017, 0.023, 0.156], [0.292, 0.075, 0.993], [0.305, 0.360, 0.488], [0.361, 0.035, 0.328], [0.364, 0.327, 0.831], [0.637, 0.690, 0.159], [0.654, 0.331, 0.328], [0.680, 0.685, 0.489], [0.690, 0.360, 0.992], [0.947, 0.034, 0.830], [0.977, 0.679, 0.990], [0.979, 0.064, 0.492], [0.017, 0.703, 0.664], [0.310, 0.401, 0.160], [0.316, 0.007, 0.661], [0.634, 0.396, 0.661], [0.653, 0.747, 0.830], [0.951, 0.742, 0.330], [0.001, 0.144, 0.437], [0.012, 0.199, 0.150], [0.102, 0.917, 0.104], [0.105, 0.690, 0.719], [0.109, 0.717, 0.615], [0.118, 0.728, 0.327], [0.118, 0.951, 0.213], [0.122, 0.710, 0.999], [0.123, 0.877, 0.830], [0.136, 0.893, 0.498], [0.158, 0.171, 0.659], [0.159, 0.379, 0.153], [0.186, 0.355, 0.835], [0.188, 0.193, 0.333], [0.196, 0.153, 0.938], [0.203, 0.190, 0.048], [0.214, 0.382, 0.431], [0.220, 0.327, 0.539], [0.288, 0.490, 0.215], [0.304, 0.907, 0.001], [0.306, 0.922, 0.714], [0.325, 0.910, 0.609], [0.332, 0.487, 0.112], [0.344, 0.501, 0.496], [0.344, 0.877, 0.328], [0.356, 0.498, 0.829], [0.444, 0.052, 0.274], [0.444, 0.219, 0.779], [0.459, 0.230, 0.163], [0.463, 0.028, 0.662], [0.470, 0.058, 0.991], [0.474, 0.013, 0.383], [0.477, 0.239, 0.886], [0.482, 0.192, 0.487], [0.490, 0.502, 0.328], [0.501, 0.731, 0.827], [0.502, 0.711, 0.496], [0.516, 0.504, 0.999], [0.518, 0.711, 0.111], [0.538, 0.484, 0.609], [0.550, 0.486, 0.715], [0.579, 0.649, 0.217], [0.630, 0.852, 0.883], [0.637, 0.238, 0.384], [0.650, 0.849, 0.162], [0.654, 0.226, 0.661], [0.657, 0.866, 0.485], [0.675, 0.229, 0.274], [0.675, 0.823, 0.778], [0.694, 0.186, 0.992], [0.751, 0.589, 0.433], [0.767, 0.376, 0.936], [0.788, 0.601, 0.541], [0.800, 0.579, 0.835], [0.804, 0.374, 0.660], [0.807, 0.354, 0.333], [0.809, 0.331, 0.046], [0.813, 0.526, 0.149], [0.813, 0.857, 0.991], [0.814, 0.052, 0.486], [0.835, 0.063, 0.160], [0.847, 0.052, 0.775], [0.852, 0.820, 0.278], [0.853, 0.860, 0.664], [0.856, 0.011, 0.885], [0.868, 0.847, 0.382], [0.944, 0.174, 0.546], [0.955, 0.585, 0.044], [0.964, 0.192, 0.834], [0.970, 0.575, 0.335], [0.993, 0.590, 0.934], [0.996, 0.556, 0.660]], "crystal_system": "triclinic", "magnetic_moment_mub_per_cell": 0.00, "energy_corrected_mp2020_ev_per_atom": -6.80}



Entry 6:
{"formula": "PrMgRe2O8", "functional": "GGA-PBE", "state": "optimized geometry", "lattice_angstrom": [[6.006, 0.000, 0.000], [-0.008, 6.346, 0.000], [-0.035, -3.158, 5.666]], "species": ["Pr", "Mg", "Re", "Re", "O", "O", "O", "O", "O", "O", "O", "O"], "frac_coords": [[0.000, 0.000, 0.000], [0.131, 0.439, 0.877], [0.341, 0.676, 0.352], [0.695, 0.313, 0.626], [0.215, 0.370, 0.148], [0.216, 0.777, 0.147], [0.236, 0.823, 0.642], [0.399, 0.339, 0.673], [0.628, 0.665, 0.334], [0.754, 0.155, 0.313], [0.876, 0.189, 0.781], [0.876, 0.593, 0.781]], "de_polymorph_mev_per_atom": 56.6, "crystal_system": "triclinic", "magnetic_moment_mub_per_cell": 1.00, "energy_corrected_mp2020_ev_per_atom": -8.31}



Entry 7:
{"formula": "Hf5N5O2", "functional": "GGA-PBE", "state": "optimized geometry", "lattice_angstrom": [[5.180, -1.535, 0.000], [5.180, 1.535, 0.000], [-2.500, 0.000, 8.823]], "species": ["Hf", "Hf", "Hf", "Hf", "Hf", "N", "N", "N", "N", "N", "O", "O"], "frac_coords": [[0.000, 0.000, 0.000], [0.189, 0.189, 0.782], [0.581, 0.581, 0.379], [0.778, 0.778, 0.161], [0.898, 0.898, 0.575], [0.147, 0.147, 0.225], [0.379, 0.379, 0.067], [0.550, 0.550, 0.634], [0.622, 0.622, 0.929], [0.933, 0.933, 0.365], [0.234, 0.234, 0.530], [0.842, 0.842, 0.787]], "de_polymorph_mev_per_atom": 17.1, "crystal_system": "monoclinic", "magnetic_moment_mub_per_cell": 0.01, "energy_corrected_mp2020_ev_per_atom": -10.66}



For each record above, in turn, the calculated energy of formation values are -0.19 -2.82 -3.02 -2.68 -2.63 -2.41 -2.21 eV per atom.
For each record above, in turn, the calculated E_tot values are -5.241 -6.993 -7.017 -6.080 -6.386 -7.854 -10.543 eV/atom.